(1)
The following is a r²SCAN calculation of crystalline Mg5Si9 at its relaxed geometry, from the Materials Project.

Unit cell a=7.3919 b=7.4508 c=11.0626 alpha=99.30 beta=99.47 gamma=118.24
Fractional coordinates of all 28 atoms:
Mg 0.0000 0.0000 0.0000
Mg 0.0128 0.9047 0.5148
Mg 0.2755 0.0712 0.8118
Mg 0.3703 0.4353 0.6019
Mg 0.4019 0.8498 0.0494
Mg 0.5164 0.3124 0.1230
Mg 0.6837 0.2189 0.4171
Mg 0.7382 0.8013 0.2281
Mg 0.9090 0.1941 0.7121
Mg 0.9485 0.5929 0.0751
Si 0.0367 0.5482 0.6153
Si 0.0443 0.6533 0.8366
Si 0.1024 0.1730 0.3627
Si 0.2279 0.3878 0.9534
Si 0.2428 0.0211 0.2233
Si 0.2483 0.4691 0.1743
Si 0.2778 0.7694 0.3105
Si 0.3894 0.8138 0.6322
Si 0.4604 0.4352 0.3579
Si 0.4934 0.1588 0.6163
Si 0.5678 0.8061 0.4704
Si 0.5864 0.6072 0.9492
Si 0.6203 0.8470 0.8208
Si 0.6808 0.1645 0.9613
Si 0.6895 0.3920 0.8239
Si 0.8424 0.7692 0.7046
Si 0.8802 0.2304 0.1971
Si 0.9062 0.5619 0.3176

Summary:
Electronic total energy: -97.174 eV/f.u.
Density: 2443 kg/m³
Energy of formation from the pure elements: 0.188 eV per atom

(2)
The following is a r²SCAN calculation of crystalline BiAuCl6 at its relaxed geometry, from the Materials Project.

Unit cell a=7.3848 b=10.0735 c=13.8887 alpha=103.95 beta=96.10 gamma=111.01
Fractional coordinates of all 32 atoms:
Bi 0.0314 0.1847 0.1287
Bi 0.4043 0.5712 0.3784
Bi 0.5957 0.4288 0.6216
Bi 0.9686 0.8153 0.8713
Au 0.0000 0.5000 0.0000
Au 0.2966 0.1333 0.7670
Au 0.5000 0.0000 0.5000
Au 0.7034 0.8667 0.2330
Cl 0.0296 0.9582 0.2177
Cl 0.0352 0.4479 0.2713
Cl 0.2306 0.4026 0.0308
Cl 0.2384 0.7795 0.4828
Cl 0.2398 0.7025 0.9749
Cl 0.2529 0.0660 0.0234
Cl 0.2567 0.4497 0.5137
Cl 0.2742 0.3480 0.7501
Cl 0.2875 0.1194 0.4992
Cl 0.3161 0.9148 0.7799
Cl 0.3796 0.7755 0.2482
Cl 0.3914 0.3094 0.2629
Cl 0.6086 0.6906 0.7371
Cl 0.6204 0.2245 0.7518
Cl 0.6839 0.0852 0.2201
Cl 0.7125 0.8806 0.5008
Cl 0.7258 0.6520 0.2499
Cl 0.7433 0.5503 0.4863
Cl 0.7471 0.9340 0.9766
Cl 0.7602 0.2975 0.0251
Cl 0.7616 0.2205 0.5172
Cl 0.7694 0.5974 0.9692
Cl 0.9648 0.5521 0.7287
Cl 0.9704 0.0418 0.7823

Summary:
Electronic total energy: -151.854 eV/f.u.
Density: 4493 kg/m³
Energy of formation from the pure elements: -0.732 eV per atom

(3)
The following is a r²SCAN calculation of crystalline Gd3Al at its relaxed geometry, from the Materials Project.

Unit cell a=4.8077 b=4.8077 c=4.8077 alpha=90.00 beta=90.00 gamma=90.00
Fractional coordinates of all 4 atoms:
Gd 0.0000 0.0000 0.5000
Gd 0.0000 0.5000 0.0000
Gd 0.5000 0.0000 0.0000
Al 0.5000 0.5000 0.5000

Summary:
Electronic total energy: -137.802 eV/f.u.
Density: 7452 kg/m³
Energy of formation from the pure elements: -0.220 eV per atom

(4)
The following is a r²SCAN calculation of crystalline Li2MnF5 at its relaxed geometry, from the Materials Project.

Unit cell a=5.2102 b=5.2102 c=9.4941 alpha=90.00 beta=90.00 gamma=134.65
Fractional coordinates of all 16 atoms:
Li 0.1346 0.8654 0.5724
Li 0.1346 0.8654 0.9276
Li 0.8654 0.1346 0.0724
Li 0.8654 0.1346 0.4276
Mn 0.1955 0.8045 0.2500
Mn 0.8045 0.1955 0.7500
F 0.0581 0.9419 0.1161
F 0.0581 0.9419 0.3839
F 0.2473 0.7527 0.7500
F 0.3206 0.6794 0.0955
F 0.3206 0.6794 0.4045
F 0.6794 0.3206 0.5955
F 0.6794 0.3206 0.9045
F 0.7527 0.2473 0.2500
F 0.9419 0.0581 0.6161
F 0.9419 0.0581 0.8839

Summary:
Electronic total energy: -59.133 eV/f.u.
Density: 2967 kg/m³
Energy above the lowest structure with this stoichiometry: 0.032 eV per atom
Energy of formation from the pure elements: -3.006 eV per atom

(5)
The following is a r²SCAN calculation of crystalline Ba4Cl6O at its relaxed geometry, from the Materials Project.

Unit cell a=10.0627 b=10.0627 c=7.6385 alpha=90.00 beta=90.00 gamma=120.00
Fractional coordinates of all 22 atoms:
Ba 0.1953 0.3907 0.0000
Ba 0.1953 0.8047 0.0000
Ba 0.3333 0.6667 0.4341
Ba 0.3907 0.1953 0.5000
Ba 0.6093 0.8047 0.0000
Ba 0.6667 0.3333 0.9341
Ba 0.8047 0.1953 0.5000
Ba 0.8047 0.6093 0.5000
Cl 0.0597 0.5299 0.7150
Cl 0.1453 0.2907 0.3975
Cl 0.1453 0.8547 0.3975
Cl 0.2907 0.1453 0.8975
Cl 0.4701 0.5299 0.7150
Cl 0.4701 0.9403 0.7150
Cl 0.5299 0.0597 0.2150
Cl 0.5299 0.4701 0.2150
Cl 0.7093 0.8547 0.3975
Cl 0.8547 0.1453 0.8975
Cl 0.8547 0.7093 0.8975
Cl 0.9403 0.4701 0.2150
O 0.3333 0.6667 0.1027
O 0.6667 0.3333 0.6027

Summary:
Electronic total energy: -180.231 eV/f.u.
Density: 3858 kg/m³
Energy of formation from the pure elements: -2.850 eV per atom

(6)
The following is a r²SCAN calculation of crystalline Li2Nd2Ge3 at its relaxed geometry, from the Materials Project.

Unit cell a=9.6078 b=9.6078 c=6.9255 alpha=90.00 beta=90.00 gamma=153.28
Fractional coordinates of all 14 atoms:
Li 0.1909 0.8091 0.5615
Li 0.1909 0.8091 0.9385
Li 0.8091 0.1909 0.0615
Li 0.8091 0.1909 0.4385
Nd 0.3420 0.6580 0.7500
Nd 0.4474 0.5526 0.2500
Nd 0.5526 0.4474 0.7500
Nd 0.6580 0.3420 0.2500
Ge 0.0616 0.9384 0.0679
Ge 0.0616 0.9384 0.4321
Ge 0.2799 0.7201 0.2500
Ge 0.7201 0.2799 0.7500
Ge 0.9384 0.0616 0.5679
Ge 0.9384 0.0616 0.9321

Summary:
Electronic total energy: -110.819 eV/f.u.
Density: 6012 kg/m³
Energy of formation from the pure elements: -0.799 eV per atom